First-principles (PBE with a Hubbard U) data for an optimized crystal structure of Li3Cr3P4O16, as listed in the Materials Project database.

Results
The calculation puts the energy of formation at -2.568 eV/atom. Its total energy is -7.127 eV/atom. The calculation puts the volume at 11.226 Å³/atom. As for the crystal system: monoclinic.

Unit cell a=6.2255 b=11.3020 c=8.4712 alpha=90.00 beta=101.65 gamma=90.00
Space group P2_1 (No. 4)
Asymmetric unit:
Li  0.1022  0.0000  0.1534 (multiplicity 2)
Li  0.1473  0.3077  0.4288 (multiplicity 2)
Li  0.3576  0.0898  0.5607 (multiplicity 2)
Cr  0.0783  0.6122  0.2191 (multiplicity 2)
Cr  0.3758  0.3835  0.8385 (multiplicity 2)
Cr  0.4004  0.7888  0.7740 (multiplicity 2)
P  0.0743  0.2840  0.0960 (multiplicity 2)
P  0.1346  0.5716  0.5853 (multiplicity 2)
P  0.3696  0.8291  0.4009 (multiplicity 2)
P  0.4594  0.1066  0.8989 (multiplicity 2)
O  0.0105  0.1602  0.0184 (multiplicity 2)
O  0.0789  0.1360  0.4180 (multiplicity 2)
O  0.1063  0.8301  0.8165 (multiplicity 2)
O  0.1127  0.3742  0.9664 (multiplicity 2)
O  0.1407  0.4655  0.7038 (multiplicity 2)
O  0.1502  0.5158  0.4202 (multiplicity 2)
O  0.1596  0.7541  0.3425 (multiplicity 2)
O  0.2359  0.1104  0.7813 (multiplicity 2)
O  0.2845  0.2790  0.2303 (multiplicity 2)
O  0.3448  0.6465  0.6502 (multiplicity 2)
O  0.3520  0.8837  0.5670 (multiplicity 2)
O  0.3748  0.9289  0.2745 (multiplicity 2)
O  0.3772  0.5775  0.2081 (multiplicity 2)
O  0.4101  0.2664  0.5989 (multiplicity 2)
O  0.4599  0.0050  0.0189 (multiplicity 2)
O  0.4912  0.7319  0.0163 (multiplicity 2)